Density functional theory data (meta-GGA r2SCAN) for La7Ni3 after structural relaxation.

Unit cell a=10.0463 b=10.0463 c=6.5144 alpha=90.00 beta=90.00 gamma=120.00
Last column: nearest neighbours and their distance in Å.
Space group P6_3mc (No. 186)
Inequivalent atoms, fractional coordinates:
La (0.0752, 0.5376, 0.0000) [6 per cell]  2 Ni 2.82
La (0.1260, 0.2520, 0.6745) [6 per cell]  3 Ni 2.90-3.11
La (0.3333, 0.6667, 0.4537) [2 per cell]  3 Ni 2.93
Ni (0.1877, 0.3753, 0.2272) [6 per cell]  6 La 2.82-3.11

Summary:
The total magnetic moment comes out at 0.000 μB/f.u. The value obtained for the formation energy is -0.2033 eV/atom.